1.
# SnNF3

A geometry-optimized SnNF3 structure (GGA-PBE, the Materials Project).

Cell lengths 3.6471, 6.4020, 6.5491 Å; angles 95.15, 102.15, 99.00 degrees
With the nearest neighbours (Å) after each atom.
Space group P-1 (No. 2)
Asymmetric unit:
Sn 0.1532 0.4468 0.2638 (multiplicity 2)  3 F 1.97-2.19, 1 N 2.17
N 0.2503 0.3893 0.6160 (multiplicity 2)  1 F 1.42
F 0.1913 0.1726 0.6522 (multiplicity 2)  1 N 1.42
F 0.2197 0.6662 0.0313 (multiplicity 2)  2 Sn 2.11-2.19
F 0.3768 0.1884 0.2322 (multiplicity 2)  1 Sn 1.97

Summary:
The excess energy over the best structure of this formula in the dataset is 0 meV/atom. The formation energy comes out at -1.3718 eV/atom. The volume is 14.6 Å³ per atom. Its energy is -4.71 eV/atom. The value obtained for the corrected total energy (MP2020 scheme) is -4.990 eV/atom.

=====

2.
# HgI2

A geometry-optimized HgI2 structure (GGA-PBE, the Materials Project).

Cell lengths 5.3044, 7.6529, 14.3817 Å; angles 90.00, 90.00, 90.00 degrees
With the nearest neighbours (Å) after each atom.
Space group Cmc2_1 (No. 36)
Asymmetric unit:
Hg 0.0000 0.1563 0.0000 (multiplicity 4)  2 I 2.65
I 0.0000 0.0922 0.3713 (multiplicity 4)  1 Hg 2.65
I 0.0000 0.4033 0.1295 (multiplicity 4)  1 Hg 2.65

Summary:
The formation energy comes out at -0.5459 eV/atom. The maximum piezoelectric response comes out at 0.29 C/m2. The volume is 48.7 Å³ per atom. Its energy is -1.41 eV/atom. The value obtained for the corrected total energy (MP2020 scheme) is -1.663 eV/atom.

=====

3.
# Rb2Hg3Te4

A geometry-optimized Rb2Hg3Te4 structure (GGA-PBE, the Materials Project).

Cell lengths 12.6186, 7.4116, 14.9029 Å; angles 90.00, 90.00, 90.00 degrees
With the nearest neighbours (Å) after each atom.
Space group Pbcn (No. 60)
Asymmetric unit:
Rb 0.1354 0.1646 0.0417 (multiplicity 8)  7 Te 3.76-4.18, 2 Hg 3.95-3.99
Hg 0.0000 0.3990 0.2500 (multiplicity 4)  4 Te 2.92
Hg 0.1589 0.1604 0.7543 (multiplicity 8)  3 Te 2.76-2.98
Te 0.0784 0.3551 0.6122 (multiplicity 8)  2 Hg 2.76-2.92
Te 0.1536 0.1696 0.3419 (multiplicity 8)  3 Hg 2.77-2.98

Summary:
The formation energy comes out at -0.6851 eV/atom. The volume is 38.7 Å³ per atom. Its energy is -2.21 eV/atom. The value obtained for the corrected total energy (MP2020 scheme) is -2.401 eV/atom.

=====

4.
# SiO2

A geometry-optimized SiO2 structure (GGA-PBE, the Materials Project).

Cell lengths 5.2906, 14.1136, 26.1866 Å; angles 90.00, 90.00, 90.00 degrees
With the nearest neighbours (Å) after each atom.
Space group Imma (No. 74)
Asymmetric unit:
Si 0.0000 0.0400 0.0587 (multiplicity 8)  4 O 1.62-1.64
Si 0.0000 0.0535 0.6060 (multiplicity 8)  4 O 1.61-1.62
Si 0.0000 0.1391 0.7162 (multiplicity 8)  4 O 1.62-1.64
Si 0.0000 0.2500 0.0255 (multiplicity 4)  4 O 1.61-1.62
Si 0.0000 0.2500 0.5447 (multiplicity 4)  4 O 1.61
O 0.0000 0.0000 0.0000 (multiplicity 4)  2 Si 1.64
O 0.0000 0.0679 0.6675 (multiplicity 8)  2 Si 1.62
O 0.0000 0.1552 0.0604 (multiplicity 8)  2 Si 1.62-1.63
O 0.0000 0.1570 0.5801 (multiplicity 8)  2 Si 1.61
O 0.0000 0.2500 0.6976 (multiplicity 4)  2 Si 1.64
O 0.2501 0.0043 0.0886 (multiplicity 16)  2 Si 1.62
O 0.2500 0.1176 0.7500 (multiplicity 8)  2 Si 1.62
O 0.2504 0.2500 0.5098 (multiplicity 8)  2 Si 1.61

Summary:
The formation energy comes out at -3.2494 eV/atom. The volume is 20.4 Å³ per atom. Its energy is -7.90 eV/atom. The value obtained for the corrected total energy (MP2020 scheme) is -8.357 eV/atom.

=====

5.
# MgSi2

A geometry-optimized MgSi2 structure (GGA-PBE, the Materials Project).

Cell lengths 11.2874, 3.7091, 10.3735 Å; angles 90.00, 90.07, 90.00 degrees
With the nearest neighbours (Å) after each atom.
Space group C2/m (No. 12)
Asymmetric unit:
Mg 0.0000 0.0000 0.0000 (multiplicity 2)  10 Si 2.89-3.09
Mg 0.0000 0.5000 0.5000 (multiplicity 2)  6 Si 2.88-2.97
Mg 0.1629 0.0000 0.7159 (multiplicity 4)  7 Si 2.70-3.01
Si 0.0058 0.5000 0.2141 (multiplicity 4)  2 Si 2.41
Si 0.1413 0.0000 0.2339 (multiplicity 4)  4 Si 2.39-2.45
Si 0.1914 0.0000 0.4574 (multiplicity 4)  3 Si 2.39-2.44
Si 0.2111 0.5000 0.9390 (multiplicity 4)  3 Si 2.41-2.45

Summary:
The excess energy over the best structure of this formula in the dataset is 90 meV/atom. The formation energy comes out at 0.1677 eV/atom. The volume is 18.1 Å³ per atom. Its energy is -4.03 eV/atom. The value obtained for the corrected total energy (MP2020 scheme) is -3.983 eV/atom.

=====

6.
# Cs3BiCl6

A geometry-optimized Cs3BiCl6 structure (GGA-PBE, the Materials Project).

Cell lengths 11.9964, 11.9964, 11.9964 Å; angles 90.00, 90.00, 90.00 degrees
With the nearest neighbours (Å) after each atom.
Space group Fm-3m (No. 225)
Asymmetric unit:
Cs 0.0000 0.0000 0.0000 (multiplicity 4)  6 Cl 3.27
Cs 0.2500 0.2500 0.2500 (multiplicity 8)  12 Cl 4.25
Bi 0.0000 0.0000 0.5000 (multiplicity 4)  6 Cl 2.72
Cl 0.0000 0.0000 0.2730 (multiplicity 24)  1 Bi 2.72

Summary:
The excess energy over the best structure of this formula in the dataset is 54 meV/atom. The formation energy comes out at -1.9612 eV/atom. The volume is 43.2 Å³ per atom. Its energy is -3.36 eV/atom. The value obtained for the corrected total energy (MP2020 scheme) is -3.728 eV/atom.